1.
Below is a relaxed Na10Mg3Si6Sn5S6O48 crystal, with properties calculated at the PBE level.

a b c (Å): 17.9583 9.0103 22.5006
angles (deg): 89.71 89.72 119.90
Atoms (fractional coordinates):
Na 0.3192 0.9997 0.2428
Na 0.1963 0.3720 0.2443
Na 0.6908 0.3722 0.2424
Na 0.9993 0.6439 0.2505
Na 0.3163 0.6183 0.7578
Na 0.8176 0.6260 0.7479
Na 0.9928 0.3553 0.7528
Na 0.4980 0.3783 0.7396
Na 0.1818 0.0119 0.7483
Na 0.6871 0.0144 0.7497
Na 0.6468 0.3431 0.5744
Na 0.3247 0.6898 0.0762
Na 0.8256 0.6874 0.0889
Na 0.1642 0.3200 0.9250
Na 0.9939 0.3104 0.4213
Na 0.1641 0.0252 0.4204
Na 0.6656 0.0307 0.4117
Na 0.8412 0.6665 0.4184
Na 0.0013 0.0003 0.4996
Na 0.4909 0.0193 0.4945
Na 0.0069 0.0264 0.0010
Na 0.5040 0.0315 0.9963
Na 0.3476 0.3639 0.8352
Na 0.8387 0.3327 0.8289
Na 0.3400 0.3696 0.3272
Na 0.8320 0.3335 0.3318
Na 0.1681 0.6621 0.1584
Na 0.6621 0.6629 0.1600
Na 0.1606 0.6562 0.6624
Na 0.6556 0.6640 0.6611
Mg 0.4985 0.0009 0.3532
Mg 0.3382 0.3494 0.6844
Mg 0.8365 0.3365 0.6900
Mg 0.3318 0.3434 0.1866
Mg 0.8309 0.3352 0.1835
Mg 0.1625 0.6393 0.0155
Mg 0.6577 0.6397 0.0187
Mg 0.1645 0.6586 0.5159
Mg 0.6619 0.6515 0.5164
Si 0.1509 0.9986 0.2526
Si 0.3587 0.7129 0.2521
Si 0.8524 0.7063 0.2485
Si 0.1484 0.2975 0.7497
Si 0.6460 0.2922 0.7497
Si 0.0039 0.7125 0.7523
Si 0.4985 0.7145 0.7490
Si 0.8515 0.9945 0.7500
Si 0.4814 0.3364 0.5875
Si 0.1840 0.3306 0.0863
Si 0.6841 0.3326 0.0877
Si 0.3157 0.6734 0.9200
Si 0.0105 0.3581 0.9178
Si 0.5164 0.3684 0.9170
Si 0.8110 0.9559 0.4197
Si 0.1711 0.3745 0.4181
Si 0.6605 0.3604 0.4197
Si 0.0254 0.6689 0.4184
Sn 0.0015 0.9962 0.3534
Sn 0.9989 0.0061 0.8499
Sn 0.5011 0.9987 0.8555
Sn 0.0012 0.0011 0.6537
Sn 0.5006 0.0098 0.6475
Sn 0.0056 0.9952 0.1487
Sn 0.5011 0.0039 0.1483
Sn 0.3336 0.3401 0.9801
Sn 0.8278 0.3224 0.9828
Sn 0.3367 0.3389 0.4857
Sn 0.8347 0.3363 0.4796
Sn 0.1730 0.6649 0.3179
Sn 0.6753 0.6742 0.3185
Sn 0.1562 0.6431 0.8212
Sn 0.6584 0.6573 0.8142
S 0.6470 0.9919 0.2519
S 0.9981 0.2923 0.2497
S 0.5043 0.3013 0.2520
S 0.3503 0.9972 0.7506
S 0.9807 0.3279 0.5847
S 0.1819 0.0344 0.5852
S 0.6877 0.0401 0.5841
S 0.3320 0.6349 0.5846
S 0.8396 0.6339 0.5851
S 0.4810 0.6282 0.0853
S 0.9807 0.6257 0.0834
S 0.3343 0.0445 0.0858
S 0.8346 0.0403 0.0854
S 0.8142 0.6665 0.9190
S 0.1648 0.9538 0.9181
S 0.6690 0.9564 0.9190
S 0.3156 0.9640 0.4199
S 0.5200 0.6618 0.4162
O 0.1095 0.0447 0.3103
O 0.6086 0.0192 0.3055
O 0.4137 0.8219 0.3065
O 0.9106 0.7994 0.3070
O 0.4945 0.1984 0.3046
O 0.9862 0.1984 0.3066
O 0.1104 0.1799 0.8106
O 0.6026 0.1571 0.8047
O 0.4756 0.7978 0.8051
O 0.9797 0.7945 0.8089
O 0.4065 0.0332 0.8024
O 0.9171 0.0511 0.8059
O 0.3866 0.9580 0.6965
O 0.8890 0.9328 0.6933
O 0.0780 0.2192 0.6951
O 0.5847 0.2222 0.6899
O 0.0328 0.8442 0.6943
O 0.5181 0.8368 0.6890
O 0.3943 0.8363 0.1888
O 0.8947 0.8208 0.1872
O 0.0115 0.2042 0.1988
O 0.5269 0.2297 0.1979
O 0.0814 0.9437 0.1976
O 0.5946 0.9717 0.1975
O 0.4334 0.3378 0.6472
O 0.9340 0.3360 0.6366
O 0.2310 0.1266 0.6374
O 0.7369 0.1278 0.6367
O 0.3223 0.5335 0.6380
O 0.8340 0.5278 0.6363
O 0.4407 0.5223 0.1376
O 0.9432 0.5297 0.1391
O 0.3353 0.1320 0.1409
O 0.8311 0.1330 0.1372
O 0.2386 0.3465 0.1443
O 0.7391 0.3538 0.1466
O 0.2274 0.3008 0.0236
O 0.7291 0.2977 0.0277
O 0.4276 0.5530 0.0305
O 0.9232 0.5379 0.0316
O 0.3465 0.1510 0.0318
O 0.8499 0.1430 0.0292
O 0.2218 0.1352 0.5281
O 0.7287 0.1517 0.5285
O 0.3442 0.5528 0.5298
O 0.8490 0.5543 0.5276
O 0.4212 0.3042 0.5268
O 0.9310 0.3090 0.5278
O 0.2728 0.6936 0.9790
O 0.7728 0.6850 0.9721
O 0.0782 0.4556 0.9682
O 0.5748 0.4628 0.9717
O 0.1581 0.8491 0.9685
O 0.6675 0.8563 0.9697
O 0.2729 0.8582 0.4711
O 0.7665 0.8241 0.4727
O 0.1507 0.4631 0.4713
O 0.6522 0.4446 0.4793
O 0.0903 0.7187 0.4718
O 0.5727 0.6830 0.4679
O 0.0608 0.6206 0.3567
O 0.5572 0.6318 0.3601
O 0.2627 0.8932 0.3634
O 0.7490 0.8942 0.3594
O 0.1872 0.4748 0.3529
O 0.6835 0.4853 0.3586
O 0.0439 0.4559 0.8520
O 0.5515 0.4787 0.8528
O 0.1742 0.8805 0.8599
O 0.6799 0.8862 0.8607
O 0.2565 0.6432 0.8583
O 0.7657 0.6502 0.8630
O 0.0060 0.8283 0.4116
O 0.5125 0.8168 0.4099
O 0.4018 0.9878 0.4125
O 0.9086 0.9857 0.4096
O 0.0835 0.1812 0.4124
O 0.5843 0.1659 0.4103
O 0.0080 0.1694 0.9147
O 0.5109 0.1811 0.9099
O 0.0859 0.9725 0.9155
O 0.5897 0.9687 0.9174
O 0.4130 0.8347 0.9137
O 0.9021 0.8199 0.9153
O 0.4924 0.1582 0.5841
O 0.9874 0.1666 0.5854
O 0.0937 0.0213 0.5851
O 0.6012 0.0305 0.5840
O 0.4125 0.8075 0.5863
O 0.9195 0.8067 0.5857
O 0.4820 0.7986 0.0893
O 0.9795 0.7943 0.0844
O 0.4119 0.0165 0.0844
O 0.9113 0.0123 0.0872
O 0.0855 0.1533 0.0875
O 0.5866 0.1554 0.0892
O 0.3382 0.1457 0.7429
O 0.8393 0.1575 0.7400
O 0.2404 0.3117 0.7397
O 0.7412 0.3198 0.7416
O 0.4176 0.5228 0.7450
O 0.9230 0.5238 0.7434
O 0.3461 0.5246 0.2454
O 0.8459 0.5187 0.2466
O 0.4260 0.3092 0.2422
O 0.9235 0.3164 0.2421
O 0.2467 0.1575 0.2453
O 0.7344 0.1417 0.2452
O 0.3166 0.4881 0.9191
O 0.8222 0.5077 0.9213
O 0.4164 0.3356 0.9222
O 0.9139 0.3379 0.9241
O 0.2412 0.1308 0.9193
O 0.7456 0.1352 0.9194
O 0.3201 0.1366 0.4231
O 0.8258 0.1514 0.4257
O 0.2540 0.3391 0.4256
O 0.7539 0.3544 0.4214
O 0.4315 0.5057 0.4203
O 0.9293 0.4952 0.4243
O 0.1759 0.5019 0.0813
O 0.6798 0.5077 0.0806
O 0.0676 0.6581 0.0752
O 0.5690 0.6620 0.0781
O 0.2563 0.8758 0.0826
O 0.7568 0.8705 0.0808
O 0.1735 0.8642 0.5820
O 0.6789 0.8720 0.5773
O 0.2565 0.6566 0.5781
O 0.7616 0.6471 0.5825
O 0.0658 0.4817 0.5811
O 0.5773 0.5013 0.5813
O 0.1527 0.8175 0.2598
O 0.6499 0.8282 0.2544
O 0.2586 0.6919 0.2529
O 0.7544 0.6816 0.2520
O 0.0785 0.4643 0.2513
O 0.5815 0.4789 0.2558
O 0.1601 0.4915 0.7546
O 0.6542 0.4817 0.7563
O 0.0944 0.7064 0.7591
O 0.5896 0.7117 0.7539
O 0.2645 0.8401 0.7579
O 0.7583 0.8208 0.7614

Summary:
The calculation puts the total energy at -1455.559 eV per cell. The calculation puts the total magnetization at 0.000 μB per atom. For the formation energy, the calculation gives -2375 meV per atom. As for the space group: P1.

---

2.
Below is a relaxed Ga2CuSe4O12 crystal, with properties calculated at the PBE level.

a b c (Å): 4.6768 15.1850 17.2994
angles (deg): 64.51 90.00 90.00
Atoms (fractional coordinates):
Ga 0.4230 0.2728 0.5793
Ga 0.9230 0.2272 0.4207
Ga 0.5770 0.7272 0.4207
Ga 0.0770 0.7728 0.5793
Ga 0.4035 0.6498 0.0814
Ga 0.9035 0.8502 0.9186
Ga 0.5965 0.3502 0.9186
Ga 0.0965 0.1498 0.0814
Cu 0.0000 0.5000 0.5000
Cu 0.5000 0.0000 0.5000
Cu 0.5000 0.0000 0.0000
Cu 0.0000 0.5000 0.0000
Se 0.3912 0.4007 0.3935
Se 0.8912 0.0993 0.6065
Se 0.6088 0.5993 0.6065
Se 0.1088 0.9007 0.3935
Se 0.9415 0.3399 0.6783
Se 0.4415 0.1601 0.3217
Se 0.0585 0.6601 0.3217
Se 0.5585 0.8399 0.6783
Se 0.8707 0.7975 0.1053
Se 0.3707 0.7025 0.8947
Se 0.1293 0.2025 0.8947
Se 0.6293 0.2975 0.1053
Se 0.9190 0.4859 0.1792
Se 0.4190 0.0141 0.8208
Se 0.0810 0.5141 0.8208
Se 0.5810 0.9859 0.1792
O 0.2517 0.3997 0.4887
O 0.7517 0.1003 0.5113
O 0.7483 0.6003 0.5113
O 0.2483 0.8997 0.4887
O 0.1261 0.3502 0.3573
O 0.6261 0.1498 0.6427
O 0.8739 0.6498 0.6427
O 0.3739 0.8502 0.3573
O 0.6053 0.3002 0.4586
O 0.1053 0.1998 0.5414
O 0.3947 0.6998 0.5414
O 0.8947 0.8002 0.4586
O 0.1954 0.2563 0.6775
O 0.6954 0.2437 0.3225
O 0.8046 0.7437 0.3225
O 0.3046 0.7563 0.6775
O 0.7150 0.3560 0.5936
O 0.2150 0.1440 0.4064
O 0.2850 0.6440 0.4064
O 0.7850 0.8560 0.5936
O 0.0983 0.4530 0.6244
O 0.5983 0.0470 0.3756
O 0.9017 0.5470 0.3756
O 0.4017 0.9530 0.6244
O 0.0842 0.7575 0.0426
O 0.5842 0.7425 0.9574
O 0.9158 0.2425 0.9574
O 0.4158 0.2575 0.0426
O 0.6043 0.7121 0.1437
O 0.1043 0.7879 0.8563
O 0.3957 0.2879 0.8563
O 0.8957 0.2121 0.1437
O 0.7347 0.8884 0.0088
O 0.2347 0.6116 0.9912
O 0.2653 0.1116 0.9912
O 0.7653 0.3884 0.0088
O 0.7046 0.5567 0.0925
O 0.2046 0.9433 0.9075
O 0.2954 0.4433 0.9075
O 0.7954 0.0567 0.0925
O 0.1844 0.5661 0.1810
O 0.6844 0.9339 0.8190
O 0.8156 0.4339 0.8190
O 0.3156 0.0661 0.1810
O 0.0773 0.4245 0.1263
O 0.5773 0.0755 0.8737
O 0.9227 0.5755 0.8737
O 0.4227 0.9245 0.1263

Summary:
The calculation puts the total energy at -412.369 eV per cell. The calculation puts the total magnetization at 0.053 μB per atom. For the formation energy, the calculation gives -1464 meV per atom. As for the space group: P2_1/c.

---

3.
Below is a relaxed Sc2S3 crystal, with properties calculated at the PBE level.

a b c (Å): 6.1963 6.7486 9.5593
angles (deg): 90.00 90.00 90.00
Atoms (fractional coordinates):
Sc 0.5450 0.3967 0.9915
Sc 0.4550 0.6033 0.4915
Sc 0.0450 0.1033 0.4915
Sc 0.9550 0.8967 0.9915
Sc 0.0037 0.4969 0.2388
Sc 0.9963 0.5031 0.7388
Sc 0.5037 0.0031 0.7388
Sc 0.4963 0.9969 0.2388
S 0.8281 0.1831 0.8264
S 0.1719 0.8169 0.3264
S 0.3281 0.3169 0.3264
S 0.6719 0.6831 0.8264
S 0.8257 0.1785 0.1585
S 0.1743 0.8215 0.6585
S 0.3257 0.3215 0.6585
S 0.6743 0.6785 0.1585
S 0.8392 0.4390 0.4899
S 0.1608 0.5610 0.9899
S 0.3392 0.0610 0.9899
S 0.6608 0.9390 0.4899

Summary:
The calculation puts the total energy at -136.694 eV per cell. The calculation puts the total magnetization at 0.000 μB per atom. For the formation energy, the calculation gives -2122 meV per atom. As for the space group: Pna2_1.

---

4.
Below is a relaxed CuH6C2SeI crystal, with properties calculated at the PBE level.

a b c (Å): 7.2148 7.6661 11.4273
angles (deg): 87.82 90.00 90.00
Atoms (fractional coordinates):
Cu 0.0447 0.4977 0.3805
Cu 0.5447 0.5023 0.1195
Cu 0.9553 0.5023 0.6195
Cu 0.4553 0.4977 0.8805
H 0.4737 0.8325 0.3655
H 0.9737 0.1675 0.1345
H 0.5263 0.1675 0.6345
H 0.0263 0.8325 0.8655
H 0.2418 0.9146 0.3398
H 0.7418 0.0854 0.1602
H 0.7582 0.0854 0.6602
H 0.2582 0.9146 0.8398
H 0.4140 0.9283 0.2243
H 0.9140 0.0717 0.2757
H 0.5860 0.0717 0.7757
H 0.0860 0.9283 0.7243
H 0.0816 0.6064 0.0691
H 0.5816 0.3936 0.4309
H 0.9184 0.3936 0.9309
H 0.4184 0.6064 0.5691
H 0.0062 0.7781 0.1608
H 0.5062 0.2219 0.3392
H 0.9938 0.2219 0.8392
H 0.4938 0.7781 0.6608
H 0.2079 0.8090 0.0673
H 0.7079 0.1910 0.4327
H 0.7921 0.1910 0.9327
H 0.2921 0.8090 0.5673
C 0.3628 0.8524 0.3011
C 0.8628 0.1476 0.1989
C 0.6372 0.1476 0.6989
C 0.1372 0.8524 0.8011
C 0.1257 0.7162 0.1209
C 0.6257 0.2838 0.3791
C 0.8743 0.2838 0.8791
C 0.3743 0.7162 0.6209
Se 0.2878 0.6216 0.2462
Se 0.7878 0.3784 0.2538
Se 0.7122 0.3784 0.7538
Se 0.2122 0.6216 0.7462
I 0.1401 0.2452 0.5266
I 0.6401 0.7548 0.9734
I 0.8599 0.7548 0.4734
I 0.3599 0.2452 0.0266

Summary:
The calculation puts the total energy at -197.971 eV per cell. The calculation puts the total magnetization at 0.000 μB per atom. For the formation energy, the calculation gives -176 meV per atom. As for the space group: P2_1/c.

---

5.
Below is a relaxed KLaGeS4 crystal, with properties calculated at the PBE level.

a b c (Å): 6.7422 6.7189 8.7269
angles (deg): 72.42 90.00 90.00
Atoms (fractional coordinates):
K 0.4851 0.2715 0.9344
K 0.9851 0.7285 0.0656
La 0.0001 0.7676 0.5543
La 0.5001 0.2324 0.4457
Ge 0.4742 0.7834 0.3127
Ge 0.9742 0.2166 0.6873
S 0.7300 0.9802 0.7324
S 0.4714 0.5856 0.1521
S 0.2432 0.0139 0.7203
S 0.4352 0.5910 0.5707
S 0.9714 0.4144 0.8479
S 0.7432 0.9861 0.2797
S 0.2300 0.0198 0.2676
S 0.9352 0.4090 0.4293

Summary:
The calculation puts the total energy at -72.701 eV per cell. The calculation puts the total magnetization at 0.000 μB per atom. For the formation energy, the calculation gives -1592 meV per atom. As for the space group: P2_1.

---

6.
Below is a relaxed SiO2 crystal, with properties calculated at the PBE level.

a b c (Å): 4.2518 4.3037 8.2618
angles (deg): 59.54 90.00 90.00
Atoms (fractional coordinates):
Si 0.1378 0.3017 0.1207
Si 0.5474 0.0170 0.9957
Si 0.4526 0.0170 0.4957
Si 0.8622 0.3017 0.6207
O 0.2477 0.9918 0.3365
O 0.7155 0.3351 0.4267
O 0.2845 0.3351 0.9267
O 0.6919 0.6621 0.6086
O 0.7846 0.1397 0.1167
O 0.2154 0.1397 0.6167
O 0.7523 0.9918 0.8365
O 0.3081 0.6621 0.1086

Summary:
The calculation puts the total energy at -90.673 eV per cell. The calculation puts the total magnetization at 0.000 μB per atom. For the formation energy, the calculation gives -2907 meV per atom. As for the space group: Pc.

---

7.
Below is a relaxed MgTe4Mo3WS4 crystal, with properties calculated at the PBE level.

a b c (Å): 3.3552 3.3552 39.0662
angles (deg): 90.00 90.00 120.00
Atoms (fractional coordinates):
Mg 0.3720 0.7650 0.8758
Te 0.3334 0.6667 0.7062
Te 0.6666 0.3332 0.0452
Te 0.6666 0.3333 0.1420
Te 0.3333 0.6667 0.6088
Mo 0.3333 0.6666 0.0936
Mo 0.3332 0.6666 0.4694
Mo 0.6666 0.3333 0.2817
W 0.6667 0.3333 0.6575
S 0.3334 0.6666 0.3204
S 0.6665 0.3333 0.4307
S 0.6665 0.3333 0.5082
S 0.3333 0.6666 0.2430

Summary:
The calculation puts the total energy at -80.816 eV per cell. The offset from the most stable computed form comes out at 66 meV per atom. The calculation puts the total magnetization at 0.001 μB per atom. For the formation energy, the calculation gives -509 meV per atom. As for the space group: P1.